# 1
## Rb2CeO3 (r²SCAN)

Data for an optimized crystal structure of Rb2CeO3.

Summary:
calculated total energy: -15.36 eV per atom
calculated formation energy: -2585 meV/atom

a b c (Å): 6.356 6.356 6.908
angles (deg): 80.99 80.99 119.82
Fractional positions:
1 Rb 0.500 0.500 0.500
2 Rb 0.000 0.000 0.000
3 Rb 0.656 0.344 0.000
4 Rb 0.344 0.656 0.000
5 O 0.037 0.436 0.687
6 O 0.166 0.166 0.316
7 O 0.564 0.963 0.313
8 O 0.834 0.834 0.684
9 O 0.963 0.564 0.313
10 O 0.436 0.037 0.687
11 Ce 0.167 0.833 0.500
12 Ce 0.833 0.167 0.500

# 2
## DyVO3 (r²SCAN)

Data for an optimized crystal structure of DyVO3.

Summary:
calculated total energy: -16.13 eV per atom
calculated formation energy: -3335 meV/atom

a b c (Å): 5.253 5.666 7.544
angles (deg): 90.00 90.00 90.00
Fractional positions:
1 O 0.694 0.690 0.443
2 O 0.115 0.544 0.250
3 O 0.615 0.956 0.750
4 O 0.385 0.044 0.250
5 O 0.306 0.310 0.943
6 O 0.806 0.190 0.057
7 O 0.306 0.310 0.557
8 O 0.194 0.810 0.557
9 O 0.806 0.190 0.443
10 O 0.194 0.810 0.943
11 O 0.885 0.456 0.750
12 O 0.694 0.690 0.057
13 V 0.000 0.500 0.500
14 V 0.000 0.500 0.000
15 V 0.500 0.000 0.000
16 V 0.500 0.000 0.500
17 Dy 0.020 0.071 0.750
18 Dy 0.980 0.929 0.250
19 Dy 0.480 0.571 0.750
20 Dy 0.520 0.429 0.250

# 3
## Ca5Ge6Pd6 (r²SCAN)

Data for an optimized crystal structure of Ca5Ge6Pd6.

Summary:
calculated total energy: -15.89 eV per atom
calculated formation energy: -822 meV/atom

a b c (Å): 7.608 7.608 7.608
angles (deg): 109.47 109.47 109.47
Fractional positions:
1 Pd 0.500 0.250 0.750
2 Pd 0.500 0.750 0.250
3 Pd 0.750 0.250 0.500
4 Pd 0.250 0.500 0.750
5 Pd 0.750 0.500 0.250
6 Pd 0.250 0.750 0.500
7 Ge 0.000 0.652 0.652
8 Ge 0.000 0.348 0.348
9 Ge 0.652 0.000 0.652
10 Ge 0.348 0.000 0.348
11 Ge 0.652 0.652 0.000
12 Ge 0.348 0.348 0.000
13 Ca 0.000 0.000 0.000
14 Ca 0.000 0.500 0.000
15 Ca 0.500 0.500 0.500
16 Ca 0.000 0.000 0.500
17 Ca 0.500 0.000 0.000

# 4
## Li2SnAu (r²SCAN)

Data for an optimized crystal structure of Li2SnAu.

Summary:
calculated total energy: -20.60 eV per atom
calculated formation energy: -569 meV/atom

a b c (Å): 4.578 4.578 4.578
angles (deg): 60.00 60.00 60.00
Fractional positions:
1 Sn 0.000 0.000 0.000
2 Au 0.750 0.750 0.750
3 Li 0.250 0.250 0.250
4 Li 0.500 0.500 0.500

# 5
## In2P2O7 (r²SCAN)

Data for an optimized crystal structure of In2P2O7.

Summary:
calculated total energy: -11.69 eV per atom
calculated formation energy: -2152 meV/atom

a b c (Å): 10.494 7.533 8.483
angles (deg): 73.86 90.00 90.00
Fractional positions:
1 O 0.229 0.427 0.751
2 O 0.504 0.489 0.220
3 O 0.092 0.366 0.002
4 O 0.571 0.837 0.684
5 O 0.394 0.183 0.022
6 O 0.421 0.871 0.233
7 O 0.908 0.634 0.998
8 O 0.004 0.511 0.280
9 O 0.079 0.871 0.733
10 O 0.271 0.427 0.251
11 O 0.071 0.163 0.816
12 O 0.592 0.634 0.498
13 O 0.921 0.129 0.267
14 O 0.278 0.045 0.732
15 O 0.429 0.163 0.316
16 O 0.606 0.817 0.978
17 O 0.496 0.511 0.780
18 O 0.929 0.837 0.184
19 O 0.996 0.489 0.720
20 O 0.106 0.183 0.522
21 O 0.771 0.573 0.249
22 O 0.894 0.817 0.478
23 O 0.579 0.129 0.767
24 O 0.729 0.573 0.749
25 O 0.722 0.955 0.268
26 O 0.222 0.045 0.232
27 O 0.408 0.366 0.502
28 O 0.778 0.955 0.768
29 P 0.137 0.062 0.691
30 P 0.637 0.938 0.809
31 P 0.098 0.369 0.826
32 P 0.402 0.369 0.326
33 P 0.863 0.938 0.309
34 P 0.902 0.631 0.174
35 P 0.363 0.062 0.191
36 P 0.598 0.631 0.674
37 In 0.180 0.669 0.437
38 In 0.680 0.331 0.063
39 In 0.401 0.262 0.759
40 In 0.099 0.262 0.259
41 In 0.320 0.669 0.937
42 In 0.820 0.331 0.563
43 In 0.901 0.738 0.741
44 In 0.599 0.738 0.241

# 6
## SrSn2Hg2 (r²SCAN)

Data for an optimized crystal structure of SrSn2Hg2.

Summary:
calculated total energy: -33.06 eV per atom
calculated formation energy: -385 meV/atom

a b c (Å): 6.902 6.902 10.116
angles (deg): 63.92 63.92 42.03
Fractional positions:
1 Hg 0.391 0.391 0.908
2 Hg 0.844 0.844 0.358
3 Hg 0.156 0.156 0.642
4 Hg 0.609 0.609 0.092
5 Sr 0.825 0.825 0.716
6 Sr 0.175 0.175 0.284
7 Sn 0.561 0.561 0.590
8 Sn 0.439 0.439 0.410
9 Sn 0.125 0.125 0.942
10 Sn 0.875 0.875 0.058

# 7
## Dy2PdPt (r²SCAN)

Data for an optimized crystal structure of Dy2PdPt.

Summary:
calculated total energy: -35.80 eV per atom
calculated formation energy: -1199 meV/atom

a b c (Å): 4.548 5.516 6.968
angles (deg): 90.00 90.00 90.00
Fractional positions:
1 Pt 0.500 0.900 0.458
2 Pt 0.500 0.100 0.958
3 Pd 0.000 0.592 0.541
4 Pd 0.000 0.408 0.041
5 Dy 0.000 0.104 0.684
6 Dy 0.500 0.388 0.317
7 Dy 0.000 0.896 0.184
8 Dy 0.500 0.612 0.817

# 8
## Er2Ga10Os3 (r²SCAN)

Data for an optimized crystal structure of Er2Ga10Os3.

Summary:
calculated total energy: -23.25 eV per atom
calculated formation energy: -502 meV/atom

a b c (Å): 8.807 8.807 6.352
angles (deg): 90.00 90.00 90.00
Fractional positions:
1 Os 0.321 0.821 0.500
2 Os 0.000 0.000 0.000
3 Os 0.679 0.179 0.500
4 Os 0.821 0.679 0.500
5 Os 0.179 0.321 0.500
6 Os 0.500 0.500 0.000
7 Er 0.683 0.183 0.000
8 Er 0.183 0.317 0.000
9 Er 0.817 0.683 0.000
10 Er 0.317 0.817 0.000
11 Ga 0.500 0.000 0.284
12 Ga 0.207 0.061 0.293
13 Ga 0.439 0.293 0.707
14 Ga 0.000 0.500 0.716
15 Ga 0.439 0.293 0.293
16 Ga 0.561 0.707 0.707
17 Ga 0.707 0.439 0.293
18 Ga 0.707 0.439 0.707
19 Ga 0.061 0.793 0.707
20 Ga 0.500 0.000 0.716
21 Ga 0.061 0.793 0.293
22 Ga 0.000 0.500 0.284
23 Ga 0.939 0.207 0.293
24 Ga 0.561 0.707 0.293
25 Ga 0.293 0.561 0.707
26 Ga 0.939 0.207 0.707
27 Ga 0.793 0.939 0.707
28 Ga 0.293 0.561 0.293
29 Ga 0.793 0.939 0.293
30 Ga 0.207 0.061 0.707